(1)
## La3Cl (PBE-GGA)

Data for a relaxed structure of La3Cl.

Properties
**Excess energy over the best structure of this formula in the dataset**: 4.2 meV per atom
**Raw total energy**: -4.382 eV per atom
**Energy relative to the elements**: -35.82 kJ/mol of atoms
**SG**: Pm-3m

a = 4.8977 Å, b = 4.8977 Å, c = 4.8977 Å
α = 90.00°, β = 90.00°, γ = 90.00°
Closest atoms and distances in Å follow each position.
Sites, in units of the cell vectors:
La1 0.5000 0.5000 0.0000  8 La 3.46, 4 Cl 3.46
La2 0.0000 0.5000 0.5000  8 La 3.46, 4 Cl 3.46
La3 0.5000 0.0000 0.5000  8 La 3.46, 4 Cl 3.46
Cl1 0.0000 0.0000 0.0000  12 La 3.46

(2)
## CeMg3 (PBE-GGA)

Data for a relaxed structure of CeMg3.

Properties
**Raw total energy**: -2.696 eV per atom
**Energy relative to the elements**: -1.25 kJ/mol of atoms
**SG**: P-6m2

a = 3.1702 Å, b = 3.1702 Å, c = 11.1559 Å
α = 90.00°, β = 90.00°, γ = 120.00°
Closest atoms and distances in Å follow each position.
Sites, in units of the cell vectors:
Mg1 0.3333 0.6667 0.0000  12 Mg 3.17-3.20
Mg2 0.0000 0.0000 0.2350  9 Mg 3.17-3.20, 3 Ce 3.48
Mg3 0.0000 0.0000 0.7650  9 Mg 3.17-3.20, 3 Ce 3.48
Ce1 0.3333 0.6667 0.5000  6 Ce 3.17, 6 Mg 3.48

(3)
## LuNiGe (PBE-GGA)

Data for a relaxed structure of LuNiGe.

Properties
**Raw total energy**: -5.790 eV per atom
**Energy relative to the elements**: -78.70 kJ/mol of atoms
**SG**: Pnma

a = 4.1746 Å, b = 6.7401 Å, c = 7.2157 Å
α = 90.00°, β = 90.00°, γ = 90.00°
Closest atoms and distances in Å follow each position.
Sites, in units of the cell vectors:
Lu1 0.7500 0.9933 0.2069  6 Ni 2.87-3.11, 6 Ge 2.90-3.05
Lu2 0.2500 0.0067 0.7931  6 Ni 2.87-3.11, 6 Ge 2.90-3.05
Lu3 0.7500 0.4933 0.2931  6 Ni 2.87-3.11, 6 Ge 2.90-3.05
Lu4 0.2500 0.5067 0.7069  6 Ni 2.87-3.11, 6 Ge 2.90-3.05
Ge1 0.2500 0.1994 0.4101  4 Ni 2.43-2.64
Ge2 0.2500 0.6994 0.0899  4 Ni 2.43-2.64
Ge3 0.7500 0.8006 0.5899  4 Ni 2.43-2.64
Ge4 0.7500 0.3006 0.9101  4 Ni 2.43-2.64
Ni1 0.7500 0.6924 0.9187  4 Ge 2.43-2.64
Ni2 0.2500 0.3076 0.0813  4 Ge 2.43-2.64
Ni3 0.7500 0.1924 0.5813  4 Ge 2.43-2.64
Ni4 0.2500 0.8076 0.4187  4 Ge 2.43-2.64

(4)
## UTl (PBE-GGA)

Data for a relaxed structure of UTl.

Properties
**Raw total energy**: -6.522 eV per atom
**Energy relative to the elements**: 29.46 kJ/mol of atoms
**SG**: P-6m2

a = 3.1241 Å, b = 3.1241 Å, c = 5.7928 Å
α = 90.00°, β = 90.00°, γ = 120.00°
Closest atoms and distances in Å follow each position.
Sites, in units of the cell vectors:
Tl1 0.3333 0.6667 0.5000  6 Tl 3.12, 6 U 3.41
U1 0.0000 0.0000 0.0000  6 U 3.12, 6 Tl 3.41